Entry 1:
The following is a GGA-PBE calculation of a geometry-optimized TbFe2Si2 structure, from the Materials Project database.

a b c (Å): 3.974 3.974 5.538
angles (deg): 111.03 111.03 90.00
Positions (direct):
1 Tb 0.000 0.000 0.000
2 Fe 0.250 0.750 0.500
3 Fe 0.750 0.250 0.500
4 Si 0.635 0.635 0.270
5 Si 0.365 0.365 0.730

Summary:
Formation enthalpy at 0 K in meV/atom: -647
Calculated total energy in eV/cell: -35.8
Space group: No. 139


Entry 2:
The following is a GGA-PBE calculation of a geometry-optimized Tb3Fe2Si7 structure, from the Materials Project database.

a b c (Å): 12.450 12.450 4.095
angles (deg): 90.00 90.00 161.32
Positions (direct):
1 Tb 0.097 0.903 0.500
2 Tb 0.467 0.533 0.500
3 Tb 0.782 0.218 0.000
4 Fe 0.655 0.345 0.000
5 Fe 0.910 0.090 0.000
6 Si 0.371 0.629 0.000
7 Si 0.563 0.437 0.000
8 Si 0.872 0.128 0.500
9 Si 0.003 0.997 0.000
10 Si 0.193 0.807 0.000
11 Si 0.291 0.709 0.500
12 Si 0.693 0.307 0.500

Summary:
Formation enthalpy at 0 K in meV/atom: -573
Calculated total energy in eV/cell: -76.2
Space group: No. 38


What is the formula in the first record? TbFe2Si2